Density functional theory data (r²SCAN) for a relaxed Ca2InPb crystal.

```
Ca2InPb
1.0
0.0000 3.8842 3.8842
3.8842 0.0000 3.8842
3.8842 3.8842 0.0000
In Ca Pb
1 2 1
Cartesian
3.8842 3.8842 3.8842
5.8262 5.8262 5.8262
1.9421 1.9421 1.9421
0.0000 0.0000 0.0000
```

Values from the calculation:
ΔE_f	-57.5	kJ per mole of atoms

---

Density functional theory data (r²SCAN) for a relaxed ErPbAu crystal.

```
ErPbAu
1.0
-0.7892 1.6736 4.3944
3.5873 0.2662 3.1296
1.7370 4.2521 1.2793
Er Pb Au
1 1 1
Cartesian
2.2676 3.0959 4.4016
0.0000 0.0000 0.0000
1.1338 1.5480 2.2008
```

Values from the calculation:
ΔE_f	-77.1	kJ per mole of atoms

---

Density functional theory data (r²SCAN) for a relaxed Zn3P2O8 crystal.

```
Zn3P2O8
1.0
2.8205 4.0950 0.0006
-2.8205 4.0950 0.0006
0.0000 3.8549 14.4608
Zn O P
6 16 4
Cartesian
0.3135 2.1625 0.9882
1.3904 5.0588 3.6158
-1.3904 6.9862 10.8462
0.3135 7.9551 6.2434
-0.3134 4.0899 8.2186
-0.3134 9.8825 13.4738
1.0904 8.6219 13.3186
0.5956 8.5888 8.1339
-2.6535 6.6440 9.3440
-1.0904 3.4230 1.1434
0.4445 3.4603 4.0389
1.0904 5.3505 8.3738
2.6535 5.4009 5.1180
-1.0904 6.6945 6.0882
-0.5956 3.4561 6.3281
-0.5956 6.6614 0.9035
2.6535 4.7166 2.1136
-2.6534 7.3284 12.3484
-0.4445 5.3878 11.2693
0.4445 6.6572 3.1927
-0.4445 8.5847 10.4231
0.5956 5.3836 13.5584
-0.3977 4.6642 12.5998
0.3977 2.7368 5.3694
-0.3977 9.3082 9.0925
0.3977 7.3808 1.8622
```

Values from the calculation:
excess energy over the best structure of this formula in the dataset	0.0	meV/atom
ΔE_f	-207.7	kJ per mole of atoms

---

Density functional theory data (r²SCAN) for a relaxed BaMn8O16 crystal.

```
BaMn8O16
1.0
5.7634 0.0000 0.0000
0.0000 9.7681 -0.0069
0.0000 9.6457 9.8937
O Mn Ba
32 16 2
Cartesian
0.7240 10.4644 2.8798
3.6260 10.1458 8.9770
0.6947 10.1627 8.9614
3.5968 10.5085 2.8919
3.5968 4.0824 2.0481
5.0686 9.2511 0.9254
2.1374 5.3230 4.0302
2.1666 8.9053 6.9949
5.0402 12.5675 4.0469
3.6007 6.8352 5.8725
2.1627 2.0123 0.9257
3.6007 17.4015 8.9611
5.0639 5.8532 0.4496
0.6995 13.5606 9.4372
5.0639 8.7377 4.4904
5.0402 2.0234 0.8931
2.1374 9.2680 0.9098
3.6215 10.6671 5.3841
5.0394 8.9494 7.0070
5.0394 15.2872 7.8266
5.0686 5.3399 4.0145
3.6215 13.5695 9.4496
2.1627 12.5786 4.0143
0.6947 14.0739 5.8723
0.7232 17.3903 8.9937
0.6995 10.6761 5.3964
0.7232 6.8463 5.8399
2.1418 8.7467 4.5027
2.1666 15.3314 7.8387
0.7240 4.1266 2.0602
3.6260 14.0908 5.8566
2.1418 5.8443 0.4372
2.1627 15.3638 5.9527
3.6007 10.5409 1.0058
0.7225 15.4816 9.0328
2.1627 8.8729 8.8810
0.7225 8.7550 5.8009
2.1617 10.6899 4.1155
0.7210 4.0125 3.9686
5.0409 3.9322 0.8540
3.6007 4.0500 3.9341
5.0409 10.6588 4.0859
3.6017 15.5128 9.0623
5.0424 8.8354 8.9155
3.6017 8.7239 5.7713
0.7210 10.5784 0.9713
5.0424 15.4013 5.9182
2.1617 3.9010 0.8245
5.0236 12.1183 7.4168
0.7398 7.2955 2.4700
```

Values from the calculation:
ΔE_f	-215.0	kJ per mole of atoms

---

Density functional theory data (r²SCAN) for a relaxed Eu2Zr2O7 crystal.

```
Eu2Zr2O7
1.0
1.6679 -4.0418 6.1065
-4.4753 0.2832 6.0249
-4.2094 -5.9446 1.8303
O Zr Eu
14 4 4
Cartesian
-2.1622 -0.2584 3.0870
-2.9496 -7.8184 7.5332
-5.2625 -7.2772 10.4709
-6.4994 -5.3195 7.4859
-1.3461 -4.5936 3.8940
-1.4584 -1.9643 5.6649
-2.0500 -2.8872 1.3164
-3.9395 -2.7677 3.8597
-4.0672 -1.8843 6.4283
0.4307 -2.0839 3.1213
-3.5086 -4.8518 6.9812
-3.1032 -4.2201 9.9568
-3.9136 -5.4832 4.0044
-0.5171 -4.3837 6.4757
-2.9818 -4.1851 2.6603
-3.1147 -1.0714 4.7576
-0.0432 -3.2337 4.7983
-0.8771 -1.2130 1.7453
-2.2809 -3.0922 7.8109
-4.3855 -6.0645 8.7260
-5.2195 -4.0436 5.6728
-2.1479 -6.2061 5.7136
```

Values from the calculation:
ΔE_f	-336.7	kJ per mole of atoms

---

Density functional theory data (r²SCAN) for a relaxed YAl3C3 crystal.

```
YAl3C3
1.0
3.3539 0.2516 0.6053
-1.2046 -2.5690 -1.9046
1.8367 9.6609 -14.1924
Al Y C
6 2 6
Cartesian
0.9867 1.9048 -6.2591
0.5614 -0.3320 -2.9731
1.6925 5.6169 -11.7122
2.2935 1.7266 -3.7795
3.4246 7.6755 -12.5186
2.9993 5.4386 -9.2326
0.0000 0.0000 0.0000
0.9184 4.8304 -7.0962
1.4051 4.1056 -9.4922
3.2120 6.5571 -10.8756
1.9798 7.1281 -13.9323
0.7740 0.7864 -4.6161
2.5809 3.2378 -5.9995
2.0062 0.2154 -1.5594
```

Values from the calculation:
ΔE_f	-43.2	kJ per mole of atoms

---

Density functional theory data (r²SCAN) for a relaxed YbU3 crystal.

```
YbU3
1.0
-1.8525 2.8703 2.9078
-1.6609 -3.4460 2.3434
3.7330 -0.1088 2.4857
Yb U
1 3
Cartesian
0.0000 0.0000 0.0000
1.0360 -1.7774 2.4146
0.9402 1.3807 2.6967
-1.7567 -0.2879 2.6256
```

Values from the calculation:
excess energy over the best structure of this formula in the dataset	147.9	meV/atom
ΔE_f	55.1	kJ per mole of atoms

---

Density functional theory data (r²SCAN) for a relaxed LaPdO3 crystal.

```
LaPdO3
1.0
5.6199 0.0000 -0.0001
0.0000 5.9108 0.0000
-0.0002 -0.0001 7.8240
La Pd O
4 4 12
Cartesian
5.5269 0.3771 1.9552
2.9028 3.3326 1.9555
2.7169 2.5781 5.8686
0.0927 5.5334 5.8685
5.6197 2.9554 7.8238
2.8100 5.9107 -0.0001
5.6198 2.9555 3.9120
2.8100 5.9107 3.9118
4.5056 4.7149 0.3784
4.5057 4.7150 3.5333
1.1141 1.1959 7.4455
2.2371 5.7109 1.9555
1.6957 4.1512 4.2906
1.1141 1.1959 4.2905
3.3828 0.2000 5.8684
1.6955 4.1512 7.4455
5.0469 3.1553 5.8683
0.5727 2.7554 1.9555
3.9242 1.7596 0.3784
3.9241 1.7595 3.5333
```

Values from the calculation:
ΔE_f	-211.1	kJ per mole of atoms

---

Density functional theory data (r²SCAN) for a relaxed CsPbCl3 crystal.

```
CsPbCl3
1.0
5.7553 0.0000 0.0000
0.0000 7.8752 7.8752
0.0000 -0.0003 7.8755
Cl Pb Cs
6 2 2
Cartesian
0.0000 6.3159 13.2591
0.0000 2.3725 6.3104
2.8776 3.8759 3.8826
0.0000 1.4459 2.3786
2.8776 7.8199 15.6890
0.0000 5.3820 9.3199
0.0000 3.8816 11.7555
0.0000 7.8175 7.8195
2.8776 7.8301 11.7680
2.8776 3.8789 7.8168
```

Values from the calculation:
ΔE_f	-163.3	kJ per mole of atoms

---

Density functional theory data (r²SCAN) for a relaxed YbTh3 crystal.

```
YbTh3
1.0
-1.6337 0.5747 4.7263
-4.2643 -2.3988 -1.1823
2.1174 -4.3877 1.2655
Yb Th
1 3
Cartesian
0.0000 0.0000 0.0000
-1.0735 -3.3933 0.0416
0.2418 -1.9065 2.9959
-2.9490 -0.9120 1.7720
```

Values from the calculation:
ΔE_f	3.6	kJ per mole of atoms

---

Density functional theory data (r²SCAN) for a relaxed ReH3O5 crystal.

```
ReH3O5
1.0
-3.8078 -0.7544 -4.6608
-2.6884 -4.5088 3.0435
-0.2888 6.2240 3.3621
O Re H
10 2 6
Cartesian
-3.4387 1.9084 -0.3977
-3.4035 -0.6162 -0.9992
-1.9091 4.2027 3.5083
-6.0021 -0.8743 0.4031
-3.4169 4.7503 -0.0373
-4.9892 -3.2463 -1.4594
-3.4682 -0.9947 2.3200
-0.9675 1.8808 1.6250
-3.2999 1.5167 2.6502
-3.4448 -3.7977 2.1156
-3.9684 3.4385 -1.0652
-2.9257 -2.4726 3.0802
-3.3848 0.3757 -0.8368
-2.4241 1.7545 2.2141
-3.4493 0.5207 2.5527
-3.3432 -0.8673 -1.9731
-4.0791 2.0635 2.3166
-2.6778 -1.1080 -0.4896
```

Values from the calculation:
excess energy over the best structure of this formula in the dataset	2.2	meV/atom
ΔE_f	-127.6	kJ per mole of atoms

---

Density functional theory data (r²SCAN) for a relaxed Nd2MgNi2 crystal.

```
Nd2MgNi2
1.0
-0.4026 -1.3837 3.5884
5.7565 -4.6339 -1.1410
4.7084 5.2230 2.5423
Ni Mg Nd
4 2 4
Cartesian
2.4765 1.4617 0.8415
7.9884 -0.8726 0.5598
4.0990 -2.2482 -0.4070
6.3659 2.8373 1.8083
5.2324 0.2946 0.7006
0.0000 0.0000 0.0000
3.9857 2.0228 3.3108
2.4934 -1.2824 1.8688
7.5689 0.4878 3.1209
6.0765 -2.8174 1.6789
```

Values from the calculation:
ΔE_f	-24.0	kJ per mole of atoms

---

Density functional theory data (r²SCAN) for a relaxed Ta9VO25 crystal.

```
Ta9VO25
1.0
-2.3094 2.4813 -1.7900
-7.4207 2.0318 8.2815
5.1546 9.6951 2.6850
O Ta V
25 9 1
Cartesian
0.2693 4.4457 1.6900
1.3937 11.7745 2.2064
-0.0372 11.0628 7.2229
-1.5745 10.9354 4.8921
-2.9919 3.2632 4.2917
0.8347 10.0383 4.6462
-1.3450 8.1580 4.9137
-1.6483 3.9495 -0.6085
-7.0110 7.8249 7.5234
-2.1443 9.2453 7.3407
-4.5104 3.1145 1.9751
2.4073 6.4140 1.6315
-4.8549 9.7739 7.4789
-3.1850 6.0014 4.2975
-4.2777 7.2593 7.3553
-0.4542 5.6451 4.2203
-5.3995 4.1581 4.5385
-5.9696 2.4348 6.9694
-8.5755 3.2728 7.3863
-0.3069 6.9583 1.8147
-4.1692 8.6149 4.9199
-6.2142 6.7437 5.0838
-2.9266 10.2588 9.7851
-2.4500 4.9817 1.8213
1.6584 7.4437 4.1075
0.0836 11.4393 3.4454
-4.6521 2.7608 5.7364
-3.5757 8.9036 8.7337
1.0856 6.1116 2.9887
-5.6473 8.0818 6.1986
-2.2662 11.7270 10.9662
-3.7935 4.5719 2.9963
-0.7952 9.6498 6.1700
-1.0064 5.3117 0.4378
-1.7114 6.4847 5.0355
```

Values from the calculation:
ΔE_f	-293.9	kJ per mole of atoms

---

Density functional theory data (r²SCAN) for a relaxed AcCdRh2 crystal.

```
AcCdRh2
1.0
0.7688 0.4222 4.8015
-2.1837 -3.0726 3.1007
2.6309 -3.3692 2.3559
Rh Cd Ac
2 1 1
Cartesian
0.6080 -3.0098 5.1290
0.0000 0.0000 0.0000
0.9120 -4.5146 7.6936
0.3040 -1.5049 2.5645
```

Values from the calculation:
ΔE_f	-34.2	kJ per mole of atoms

---

Density functional theory data (r²SCAN) for a relaxed Cs3VF6 crystal.

```
Cs3VF6
1.0
-3.9665 -5.1528 -1.5781
-6.6500 0.7268 0.1551
-3.4898 0.0900 -5.7086
F Cs V
6 3 1
Cartesian
-4.9549 -0.8384 -4.8276
-5.2356 -3.9256 -2.3954
-7.2906 -3.8726 -5.7568
-8.8707 -0.4105 -4.7362
-6.8158 -0.4634 -1.3748
-9.1514 -3.4976 -2.3041
-3.5266 -1.0840 -1.7829
-10.5797 -3.2520 -5.3487
-7.0532 -2.1680 -3.5658
0.0000 0.0000 0.0000
```

Values from the calculation:
ΔE_f	-299.5	kJ per mole of atoms

---

Density functional theory data (r²SCAN) for a relaxed Cs2AgBiF6 crystal.

```
Cs2AgBiF6
1.0
6.6101 0.0000 0.0000
3.3051 5.7245 0.0000
3.3051 1.9082 5.3972
Cs F Ag Bi
2 6 1 1
Cartesian
9.9152 5.7245 4.0479
3.3051 1.9082 1.3493
8.3204 4.8038 1.3022
4.8999 4.8038 1.3022
6.6101 1.8416 1.3022
4.8999 2.8290 4.0950
6.6101 5.7912 4.0950
8.3204 2.8290 4.0950
6.6101 3.8164 2.6986
0.0000 0.0000 0.0000
```

Values from the calculation:
ΔE_f	-238.5	kJ per mole of atoms

---

Density functional theory data (r²SCAN) for a relaxed Er5Ge3 crystal.

```
Er5Ge3
1.0
-0.8673 -7.6647 -3.2326
4.2933 1.0850 7.0950
-5.3078 -0.8060 3.3351
Er Ge
10 6
Cartesian
1.2715 -5.1918 3.7632
-3.1533 -2.1938 3.4343
0.8529 -4.7481 0.2100
-4.6387 -6.4177 0.0496
-1.8010 -5.1511 1.8775
-0.2899 0.0606 2.5476
2.5731 -1.8316 3.6525
-0.7246 0.2184 7.8825
-1.5365 -2.0529 0.0530
-0.0808 -2.2346 5.3200
1.2774 0.4566 5.1376
-4.3221 -3.6197 1.2297
-1.9026 -4.5958 4.8443
-1.8531 -4.8509 -1.1271
-2.2919 -0.1777 5.2925
0.0208 -2.7899 2.3532
```

Values from the calculation:
ΔE_f	-88.2	kJ per mole of atoms

---

Density functional theory data (r²SCAN) for a relaxed Mg3Zn crystal.

```
Mg3Zn
1.0
-2.8711 -1.1661 0.1244
1.7931 -0.0199 2.5304
-3.4313 8.7145 2.4999
Mg Zn
3 1
Cartesian
-2.2397 1.5609 1.5991
-3.8243 5.5855 2.7536
1.7931 -0.0199 2.5304
-1.7156 4.3573 1.2500
```

Values from the calculation:
ΔE_f	2.0	kJ per mole of atoms